1.
# Cr4O3F9, optimized geometry, DFT PBE with a Hubbard U
# electronic total energy	-97.609	eV per cell
# SG	No. 1
# energy of formation	-2571.0	meV per atom
# relative energy among the computed polymorphs	0.000	eV per atom
data_Cr4O3F9
_chemical_formula_sum 'Cr4 O3 F9'
_cell_length_a 5.0330
_cell_length_b 5.3060
_cell_length_c 8.8236
_cell_angle_alpha 72.63
_cell_angle_beta 89.55
_cell_angle_gamma 62.15
_symmetry_space_group_name_H-M 'P 1'
_symmetry_Int_Tables_number 1
loop_
_symmetry_equiv_pos_as_xyz
'x,y,z'
loop_
_atom_site_label
_atom_site_fract_x
_atom_site_fract_y
_atom_site_fract_z
Cr1 0.7446 0.5037 0.2493
Cr2 0.5103 0.0088 0.4985
Cr3 0.2697 0.4879 0.7560
Cr4 0.9685 0.0043 0.9935
O1 0.8214 0.7394 0.0878
O2 0.6887 0.2409 0.8164
O3 0.6790 0.2656 0.4106
F1 0.8242 0.7473 0.6844
F2 0.7488 0.7434 0.3780
F3 0.7455 0.2576 0.1214
F4 0.3200 0.7542 0.5669
F5 0.3121 0.7580 0.1807
F6 0.2393 0.7490 0.8775
F7 0.2631 0.2497 0.6256
F8 0.1812 0.2425 0.9384
F9 0.1837 0.2479 0.3148

2.
# Li2TiFeO4, optimized geometry, DFT PBE with a Hubbard U
# electronic total energy	-221.996	eV per cell
# SG	No. 1
# energy of formation	-2566.0	meV per atom
# relative energy among the computed polymorphs	0.004	eV per atom
data_Li2TiFeO4
_chemical_formula_sum 'Li8 Ti4 Fe4 O16'
_cell_length_a 5.3491
_cell_length_b 5.8710
_cell_length_c 9.9074
_cell_angle_alpha 92.14
_cell_angle_beta 96.83
_cell_angle_gamma 88.63
_symmetry_space_group_name_H-M 'P 1'
_symmetry_Int_Tables_number 1
loop_
_symmetry_equiv_pos_as_xyz
'x,y,z'
loop_
_atom_site_label
_atom_site_fract_x
_atom_site_fract_y
_atom_site_fract_z
Li1 0.2542 0.7562 0.2485
Li2 0.0008 0.2525 0.4983
Li3 0.7529 0.7470 0.7496
Li4 0.5043 0.2479 0.9986
Li5 0.7090 0.4960 0.2432
Li6 0.4399 0.9950 0.4861
Li7 0.1960 0.4938 0.7391
Li8 0.9798 0.9984 0.9965
Ti1 0.4947 0.4900 0.5215
Ti2 0.2445 0.9880 0.7702
Ti3 0.9917 0.4927 0.0177
Ti4 0.7432 0.9943 0.2704
Fe1 0.7464 0.2428 0.7445
Fe2 0.5099 0.7468 0.0007
Fe3 0.9954 0.7533 0.4955
Fe4 0.2499 0.2593 0.2460
O1 0.0885 0.0052 0.3575
O2 0.8392 0.5007 0.6078
O3 0.5880 0.9911 0.8604
O4 0.3429 0.5100 0.1043
O5 0.1903 0.5070 0.3899
O6 0.9377 0.0000 0.6401
O7 0.6982 0.4941 0.8864
O8 0.4377 0.0126 0.1426
O9 0.6322 0.7622 0.3704
O10 0.3816 0.2585 0.6217
O11 0.1347 0.7589 0.8716
O12 0.8860 0.2634 0.1221
O13 0.6326 0.2486 0.3757
O14 0.3800 0.7440 0.6243
O15 0.1356 0.2412 0.8750
O16 0.8824 0.7486 0.1237

3.
# V2ZnO4, optimized geometry, DFT PBE with a Hubbard U
# electronic total energy	-293.026	eV per cell
# SG	No. 8
# energy of formation	-2252.3	meV per atom
# relative energy among the computed polymorphs	0.089	eV per atom
data_V2ZnO4
_chemical_formula_sum 'V12 Zn6 O24'
_cell_length_a 6.0933
_cell_length_b 6.0933
_cell_length_c 14.8708
_cell_angle_alpha 89.15
_cell_angle_beta 89.15
_cell_angle_gamma 59.77
_symmetry_space_group_name_H-M 'P 1'
_symmetry_Int_Tables_number 1
loop_
_symmetry_equiv_pos_as_xyz
'x,y,z'
loop_
_atom_site_label
_atom_site_fract_x
_atom_site_fract_y
_atom_site_fract_z
V1 0.1699 0.6677 0.8330
V2 0.4962 0.4962 0.6227
V3 0.5002 0.5002 0.9978
V4 0.6677 0.1699 0.8330
V5 0.4996 0.0005 0.5005
V6 0.8290 0.8290 0.2911
V7 0.0005 0.4996 0.5005
V8 0.8334 0.3322 0.1667
V9 0.1721 0.1721 0.7120
V10 0.3322 0.8334 0.1667
V11 0.5044 0.5044 0.3769
V12 0.8353 0.8353 0.0410
Zn1 0.1620 0.1620 0.9578
Zn2 0.8331 0.8331 0.6668
Zn3 0.6685 0.6685 0.8335
Zn4 0.1678 0.1678 0.3335
Zn5 0.0005 0.0005 0.5007
Zn6 0.3307 0.3307 0.1664
O1 0.3435 0.8035 0.9156
O2 0.4963 0.4963 0.7539
O3 0.8035 0.3435 0.9156
O4 0.3472 0.3472 0.9131
O5 0.6700 0.1490 0.5795
O6 0.9963 0.9963 0.7577
O7 0.8253 0.8253 0.4231
O8 0.5180 0.0049 0.7558
O9 0.1490 0.6700 0.5795
O10 0.8396 0.8396 0.9109
O11 0.6720 0.6720 0.5775
O12 0.0049 0.5180 0.7558
O13 0.9976 0.4845 0.2459
O14 0.3285 0.3285 0.4222
O15 0.8514 0.3333 0.4207
O16 0.4845 0.9976 0.2459
O17 0.1595 0.1595 0.0936
O18 0.1752 0.1752 0.5784
O19 0.0036 0.0036 0.2437
O20 0.3333 0.8514 0.4207
O21 0.6557 0.6557 0.0851
O22 0.1860 0.6643 0.0844
O23 0.5054 0.5054 0.2431
O24 0.6643 0.1860 0.0844

4.
# Li3Mo3P4O16, optimized geometry, DFT PBE with a Hubbard U
# electronic total energy	-550.281	eV per cell
# SG	No. 1
# energy of formation	-2497.7	meV per atom
# relative energy among the computed polymorphs	0.009	eV per atom
data_Li3Mo3P4O16
_chemical_formula_sum 'Li9 Mo9 P12 O48'
_cell_length_a 8.3929
_cell_length_b 9.1529
_cell_length_c 13.0344
_cell_angle_alpha 94.18
_cell_angle_beta 90.30
_cell_angle_gamma 90.03
_symmetry_space_group_name_H-M 'P 1'
_symmetry_Int_Tables_number 1
loop_
_symmetry_equiv_pos_as_xyz
'x,y,z'
loop_
_atom_site_label
_atom_site_fract_x
_atom_site_fract_y
_atom_site_fract_z
Li1 0.1385 0.2243 0.8361
Li2 0.8598 0.1076 0.4970
Li3 0.3628 0.7458 0.8362
Li4 0.3726 0.4047 0.5094
Li5 0.3580 0.0558 0.1682
Li6 0.6280 0.9241 0.8223
Li7 0.6334 0.5923 0.5021
Li8 0.1312 0.5764 0.1667
Li9 0.8737 0.7641 0.1627
Mo1 0.4884 0.3305 0.8345
Mo2 0.5100 0.0045 0.4984
Mo3 0.8635 0.4409 0.8368
Mo4 0.0023 0.8380 0.8315
Mo5 0.0005 0.4954 0.5040
Mo6 0.0107 0.1614 0.1680
Mo7 0.6365 0.2747 0.1666
Mo8 0.1365 0.8926 0.4979
Mo9 0.4963 0.6729 0.1648
P1 0.1921 0.8527 0.0545
P2 0.7011 0.9741 0.2738
P3 0.2974 0.3572 0.0566
P4 0.3155 0.6779 0.3869
P5 0.8146 0.4873 0.2812
P6 0.7998 0.8095 0.6099
P7 0.2016 0.1943 0.3931
P8 0.1999 0.5240 0.7237
P9 0.6970 0.3119 0.6114
P10 0.7959 0.1367 0.9406
P11 0.6847 0.6557 0.9463
P12 0.3033 0.0219 0.7226
O1 0.0832 0.0990 0.4524
O2 0.3646 0.8396 0.1010
O3 0.0747 0.7510 0.1002
O4 0.6977 0.6846 0.0634
O5 0.6471 0.8128 0.2573
O6 0.3533 0.5174 0.0777
O7 0.3520 0.8480 0.4140
O8 0.3008 0.9950 0.5991
O9 0.9280 0.5876 0.2332
O10 0.1301 0.0071 0.7631
O11 0.6247 0.1575 0.9017
O12 0.9162 0.2355 0.8873
O13 0.2970 0.3157 0.9390
O14 0.3461 0.1867 0.7437
O15 0.6485 0.4847 0.9211
O16 0.6542 0.1475 0.5890
O17 0.7003 0.3365 0.7352
O18 0.0858 0.4178 0.7767
O19 0.6965 0.0243 0.3902
O20 0.8724 0.9884 0.2315
O21 0.3685 0.5083 0.7706
O22 0.8614 0.6597 0.8950
O23 0.3732 0.1792 0.4358
O24 0.8700 0.3273 0.5708
O25 0.5718 0.7524 0.8946
O26 0.1970 0.8247 0.9351
O27 0.5788 0.4165 0.5706
O28 0.1978 0.4823 0.6064
O29 0.5840 0.0688 0.2123
O30 0.1972 0.1449 0.2765
O31 0.1464 0.6849 0.7448
O32 0.1485 0.3556 0.4105
O33 0.1514 0.0191 0.0789
O34 0.8478 0.9765 0.9228
O35 0.8532 0.6483 0.5889
O36 0.8511 0.3178 0.2519
O37 0.8036 0.8515 0.7269
O38 0.4214 0.9181 0.7642
O39 0.8015 0.5110 0.3984
O40 0.4293 0.5785 0.4359
O41 0.8042 0.1790 0.0616
O42 0.4108 0.2505 0.1097
O43 0.1397 0.6728 0.4388
O44 0.6313 0.8248 0.5626
O45 0.1286 0.3422 0.1025
O46 0.6384 0.4929 0.2284
O47 0.9128 0.9149 0.5553
O48 0.3013 0.6520 0.2696

5.
# Rb4V2S4O19, optimized geometry, DFT PBE with a Hubbard U
# electronic total energy	-359.092	eV per cell
# SG	No. 2
# energy of formation	-2184.5	meV per atom
data_Rb4V2S4O19
_chemical_formula_sum 'Rb8 V4 S8 O38'
_cell_length_a 8.0300
_cell_length_b 11.0588
_cell_length_c 12.2907
_cell_angle_alpha 77.86
_cell_angle_beta 76.53
_cell_angle_gamma 71.87
_symmetry_space_group_name_H-M 'P 1'
_symmetry_Int_Tables_number 1
loop_
_symmetry_equiv_pos_as_xyz
'x,y,z'
loop_
_atom_site_label
_atom_site_fract_x
_atom_site_fract_y
_atom_site_fract_z
Rb1 0.2081 0.6587 0.0553
Rb2 0.7919 0.3413 0.9447
Rb3 0.5931 0.9683 0.1613
Rb4 0.4069 0.0317 0.8387
Rb5 0.9409 0.8306 0.4559
Rb6 0.0591 0.1694 0.5441
Rb7 0.3064 0.4546 0.6522
Rb8 0.6936 0.5454 0.3478
V1 0.5571 0.7128 0.6963
V2 0.4429 0.2872 0.3037
V3 0.8898 0.7757 0.8088
V4 0.1102 0.2243 0.1912
S1 0.9113 0.0024 0.8462
S2 0.0887 0.9976 0.1538
S3 0.7983 0.4777 0.6372
S4 0.2017 0.5223 0.3628
S5 0.4134 0.8220 0.5092
S6 0.5866 0.1780 0.4908
S7 0.2792 0.3192 0.9774
S8 0.7208 0.6808 0.0226
O1 0.3623 0.1885 0.0349
O2 0.6377 0.8115 0.9651
O3 0.6345 0.5304 0.7343
O4 0.3655 0.4696 0.2657
O5 0.5243 0.8661 0.5742
O6 0.4757 0.1339 0.4258
O7 0.2196 0.3146 0.8751
O8 0.7804 0.6854 0.1249
O9 0.9878 0.8640 0.9023
O10 0.0122 0.1360 0.0977
O11 0.8216 0.5999 0.5660
O12 0.1784 0.4001 0.4340
O13 0.7386 0.4001 0.5797
O14 0.2614 0.5999 0.4203
O15 0.4302 0.6872 0.5797
O16 0.5698 0.3128 0.4203
O17 0.1043 0.3646 0.0697
O18 0.8957 0.6354 0.9303
O19 0.0727 0.7120 0.7279
O20 0.9273 0.2880 0.2721
O21 0.8251 0.9675 0.7600
O22 0.1749 0.0325 0.2400
O23 0.7751 0.0780 0.9252
O24 0.2249 0.9220 0.0748
O25 0.9468 0.4040 0.6948
O26 0.0532 0.5960 0.3052
O27 0.2292 0.9004 0.5237
O28 0.7708 0.0996 0.4763
O29 0.3826 0.4108 0.9628
O30 0.6174 0.5892 0.0372
O31 0.7233 0.7662 0.7357
O32 0.2767 0.2338 0.2643
O33 0.0506 0.0634 0.7869
O34 0.9494 0.9366 0.2131
O35 0.5022 0.8141 0.3926
O36 0.4978 0.1859 0.6074
O37 0.3910 0.7443 0.7993
O38 0.6090 0.2557 0.2007

6.
# Li5Mn3O8, optimized geometry, DFT PBE with a Hubbard U
# electronic total energy	-200.602	eV per cell
# energy of formation	-2136.7	meV per atom
# relative energy among the computed polymorphs	0.013	eV per atom
data_Li5Mn3O8
_chemical_formula_sum 'Li10 Mn6 O16'
_cell_length_a 5.7535
_cell_length_b 5.9238
_cell_length_c 10.0878
_cell_angle_alpha 91.15
_cell_angle_beta 73.49
_cell_angle_gamma 119.02
_symmetry_space_group_name_H-M 'P 1'
_symmetry_Int_Tables_number 1
loop_
_symmetry_equiv_pos_as_xyz
'x,y,z'
loop_
_atom_site_label
_atom_site_fract_x
_atom_site_fract_y
_atom_site_fract_z
Li1 0.0000 0.2500 0.2500
Li2 0.0000 0.7500 0.7500
Li3 0.5000 0.2500 0.2500
Li4 0.5000 0.7500 0.7500
Li5 0.5000 0.0000 0.0000
Li6 0.5000 0.5000 0.5000
Li7 0.0000 0.2501 0.7500
Li8 0.0000 0.7501 0.2500
Li9 0.5001 0.2500 0.7500
Li10 0.5001 0.7500 0.2500
Mn1 0.0002 0.5002 0.4997
Mn2 0.9999 0.0001 0.5001
Mn3 0.4999 0.9999 0.5001
Mn4 0.0001 0.0001 0.0000
Mn5 0.9998 0.4998 0.0000
Mn6 0.5000 0.4999 0.0002
O1 0.7509 0.3872 0.8856
O2 0.7508 0.8872 0.3856
O3 0.2491 0.6128 0.1145
O4 0.2491 0.1128 0.6145
O5 0.2609 0.4015 0.8802
O6 0.2609 0.9016 0.3802
O7 0.7391 0.5985 0.1199
O8 0.7391 0.0985 0.6199
O9 0.7372 0.8467 0.8932
O10 0.7372 0.3468 0.3930
O11 0.2144 0.8462 0.8931
O12 0.2146 0.3463 0.3930
O13 0.2627 0.1531 0.1070
O14 0.2627 0.6532 0.6068
O15 0.7856 0.1537 0.1069
O16 0.7856 0.6537 0.6069

7.
# Li2Mn2C3O9, optimized geometry, DFT PBE with a Hubbard U
# electronic total energy	-234.144	eV per cell
# energy of formation	-2014.5	meV per atom
data_Li2Mn2C3O9
_chemical_formula_sum 'Li4 Mn4 C6 O18'
_cell_length_a 6.1763
_cell_length_b 7.8688
_cell_length_c 7.8688
_cell_angle_alpha 76.56
_cell_angle_beta 106.54
_cell_angle_gamma 106.54
_symmetry_space_group_name_H-M 'P 1'
_symmetry_Int_Tables_number 1
loop_
_symmetry_equiv_pos_as_xyz
'x,y,z'
loop_
_atom_site_label
_atom_site_fract_x
_atom_site_fract_y
_atom_site_fract_z
Li1 0.8439 0.4219 0.4219
Li2 0.8439 0.9219 0.9220
Li3 0.5781 0.0391 0.5391
Li4 0.5782 0.5391 0.0391
Mn1 0.1867 0.6285 0.1284
Mn2 0.7569 0.3433 0.8433
Mn3 0.1866 0.1284 0.6284
Mn4 0.7571 0.8434 0.3434
C1 0.2050 0.8524 0.3524
C2 0.2049 0.3524 0.8524
C3 0.4227 0.4130 0.4131
C4 0.4227 0.9131 0.9130
C5 0.8262 0.2114 0.2115
C6 0.8262 0.7115 0.7114
O1 0.0155 0.7577 0.2577
O2 0.0155 0.2577 0.7577
O3 0.2209 0.4211 0.4212
O4 0.2209 0.9212 0.9211
O5 0.8423 0.1105 0.1106
O6 0.8423 0.6106 0.6105
O7 0.1830 0.9517 0.4517
O8 0.1829 0.4517 0.9517
O9 0.4035 0.8414 0.3414
O10 0.4034 0.3414 0.8414
O11 0.5242 0.2923 0.5235
O12 0.5242 0.7923 0.0235
O13 0.8159 0.1466 0.3778
O14 0.8159 0.6466 0.8778
O15 0.5242 0.0235 0.7923
O16 0.5242 0.5235 0.2923
O17 0.8159 0.8778 0.6466
O18 0.8159 0.3778 0.1466

8.
# Li9Mn2Co5O16, optimized geometry, DFT PBE with a Hubbard U
# electronic total energy	-185.659	eV per cell
# SG	No. 1
# energy of formation	-1811.4	meV per atom
# relative energy among the computed polymorphs	0.053	eV per atom
data_Li9Mn2Co5O16
_chemical_formula_sum 'Li9 Mn2 Co5 O16'
_cell_length_a 2.9837
_cell_length_b 5.0628
_cell_length_c 19.1054
_cell_angle_alpha 92.61
_cell_angle_beta 92.65
_cell_angle_gamma 91.27
_symmetry_space_group_name_H-M 'P 1'
_symmetry_Int_Tables_number 1
loop_
_symmetry_equiv_pos_as_xyz
'x,y,z'
loop_
_atom_site_label
_atom_site_fract_x
_atom_site_fract_y
_atom_site_fract_z
Li1 0.0114 0.6061 0.8737
Li2 0.4922 0.7544 0.7496
Li3 0.9978 0.8743 0.6261
Li4 0.4975 0.0003 0.5012
Li5 0.0006 0.1257 0.3750
Li6 0.5029 0.2481 0.2504
Li7 0.9919 0.3814 0.1267
Li8 0.5042 0.4918 0.9955
Li9 0.4883 0.1409 0.8766
Mn1 0.0052 0.0044 0.9963
Mn2 0.5075 0.6261 0.3759
Co1 0.9975 0.2496 0.7549
Co2 0.4931 0.3695 0.6258
Co3 0.9901 0.4990 0.5016
Co4 0.0012 0.7509 0.2483
Co5 0.5077 0.8684 0.1240
O1 0.4870 0.8378 0.9451
O2 0.9999 0.9716 0.8044
O3 0.5352 0.0820 0.6872
O4 0.9869 0.2095 0.5623
O5 0.5274 0.3321 0.4390
O6 0.0441 0.4545 0.3104
O7 0.4895 0.5822 0.1864
O8 0.0381 0.7115 0.0644
O9 0.4724 0.4310 0.8074
O10 0.0049 0.5290 0.6889
O11 0.4570 0.6657 0.5635
O12 0.9709 0.7930 0.4402
O13 0.5146 0.9187 0.3118
O14 0.9658 0.0428 0.1857
O15 0.5236 0.1509 0.0581
O16 0.9934 0.2969 0.9435